(1)
First-principles (PBE) data for a relaxed Pr2Fe20Si2C crystal, as listed in Materials Project.

Structure (POSCAR):
```
Pr2Fe20Si2C
1.0
-5.703 1.364 2.576
-3.009 -5.734 4.436
6.111 2.142 4.390
Pr Fe Si C
2 20 2 1
direct
0.374 0.751 0.254 Pr
0.626 0.249 0.746 Pr
0.177 0.583 0.825 Fe
0.434 0.324 0.081 Fe
0.270 0.420 0.332 Fe
0.856 0.833 0.918 Fe
0.191 0.168 0.421 Fe
0.438 0.919 0.671 Fe
0.258 0.676 0.577 Fe
0.857 0.079 0.175 Fe
0.823 0.417 0.175 Fe
0.566 0.676 0.919 Fe
0.730 0.580 0.668 Fe
0.144 0.167 0.082 Fe
0.809 0.832 0.579 Fe
0.562 0.081 0.329 Fe
0.742 0.324 0.423 Fe
0.143 0.921 0.825 Fe
0.123 0.248 0.749 Fe
0.877 0.752 0.251 Fe
0.000 0.500 0.000 Fe
0.000 0.500 0.500 Fe
0.500 0.000 0.000 Si
0.000 0.000 0.500 Si
0.500 0.500 0.000 C
```

Values from the calculation:
E_tot: -8.045 eV per atom
SG: P-1

***

(2)
First-principles (PBE) data for a relaxed SiC crystal, as listed in Materials Project.

Structure (POSCAR):
```
SiC
1.0
-11.598 13.200 -10.130
-13.148 13.520 -7.465
-10.657 15.275 -8.029
Si C
8 8
direct
0.875 0.875 0.875 Si
0.375 0.375 0.375 Si
0.583 0.583 0.583 Si
0.000 0.000 0.000 Si
0.500 0.500 0.500 Si
0.292 0.292 0.292 Si
0.750 0.750 0.750 Si
0.125 0.125 0.125 Si
0.969 0.969 0.969 C
0.469 0.469 0.469 C
0.094 0.094 0.094 C
0.719 0.719 0.719 C
0.844 0.844 0.844 C
0.344 0.344 0.344 C
0.260 0.260 0.260 C
0.552 0.552 0.552 C
```

Values from the calculation:
E_tot: -7.521 eV per atom
energy above the lowest structure with this stoichiometry: 9 meV per atom
SG: R3m

***

(3)
First-principles (PBE) data for a relaxed Zn3P2O12 crystal, as listed in Materials Project.

Structure (POSCAR):
```
Zn3P2O12
1.0
-3.162 2.258 3.272
-3.267 -9.557 3.439
13.350 0.063 12.858
Zn P O
12 8 48
direct
0.386 0.768 0.250 Zn
0.114 0.268 0.250 Zn
0.614 0.232 0.750 Zn
0.886 0.732 0.750 Zn
0.291 0.644 0.498 Zn
0.209 0.144 0.002 Zn
0.709 0.356 0.998 Zn
0.791 0.856 0.502 Zn
0.709 0.356 0.502 Zn
0.791 0.856 0.998 Zn
0.291 0.644 0.002 Zn
0.209 0.144 0.498 Zn
0.276 0.900 0.407 P
0.224 0.400 0.093 P
0.724 0.100 0.907 P
0.776 0.600 0.593 P
0.724 0.100 0.593 P
0.776 0.600 0.907 P
0.276 0.900 0.093 P
0.224 0.400 0.407 P
0.242 0.638 0.750 O
0.258 0.138 0.750 O
0.758 0.362 0.250 O
0.742 0.862 0.250 O
0.131 0.622 0.250 O
0.369 0.122 0.250 O
0.869 0.378 0.750 O
0.631 0.878 0.750 O
0.197 0.825 0.696 O
0.303 0.325 0.804 O
0.803 0.175 0.196 O
0.697 0.675 0.304 O
0.803 0.175 0.304 O
0.697 0.675 0.196 O
0.197 0.825 0.804 O
0.303 0.325 0.696 O
0.214 0.860 0.329 O
0.286 0.360 0.171 O
0.786 0.140 0.829 O
0.714 0.640 0.671 O
0.786 0.140 0.671 O
0.714 0.640 0.829 O
0.214 0.860 0.171 O
0.286 0.360 0.329 O
0.073 0.601 0.580 O
0.427 0.101 0.920 O
0.927 0.399 0.080 O
0.573 0.899 0.420 O
0.927 0.399 0.420 O
0.573 0.899 0.080 O
0.073 0.601 0.920 O
0.427 0.101 0.580 O
0.352 0.529 0.421 O
0.148 0.029 0.079 O
0.648 0.471 0.921 O
0.852 0.971 0.579 O
0.648 0.471 0.579 O
0.852 0.971 0.921 O
0.352 0.529 0.079 O
0.148 0.029 0.421 O
0.140 0.805 0.461 O
0.360 0.305 0.039 O
0.860 0.195 0.961 O
0.640 0.695 0.539 O
0.860 0.195 0.539 O
0.640 0.695 0.961 O
0.140 0.805 0.039 O
0.360 0.305 0.461 O
```

Values from the calculation:
E_tot: -5.253 eV per atom
energy above the lowest structure with this stoichiometry: 104 meV per atom
SG: Pnma

***

(4)
First-principles (PBE) data for a relaxed TmCoSi2 crystal, as listed in Materials Project.

Structure (POSCAR):
```
TmCoSi2
1.0
-0.122 0.785 3.873
-3.092 2.404 -0.584
-6.599 -5.029 0.811
Tm Co Si
2 2 4
direct
0.250 0.607 0.786 Tm
0.750 0.393 0.214 Tm
0.250 0.822 0.356 Co
0.750 0.178 0.644 Co
0.250 0.958 0.084 Si
0.750 0.042 0.916 Si
0.250 0.250 0.501 Si
0.750 0.750 0.499 Si
```

Values from the calculation:
E_tot: -6.380 eV per atom
SG: Cmcm

***

(5)
First-principles (PBE) data for a relaxed IrN crystal, as listed in Materials Project.

Structure (POSCAR):
```
IrN
1.0
0.000 2.323 2.323
2.323 0.000 2.323
2.323 2.323 0.000
Ir N
1 1
direct
0.000 0.000 0.000 Ir
0.250 0.250 0.250 N
```

Values from the calculation:
E_tot: -7.831 eV per atom
energy above the lowest structure with this stoichiometry: 218 meV per atom
SG: F-43m

***

(6)
First-principles (PBE) data for a relaxed TbNi crystal, as listed in Materials Project.

Structure (POSCAR):
```
TbNi
1.0
-3.701 0.000 0.000
0.000 0.000 -4.269
1.851 -5.113 0.000
Tb Ni
2 2
direct
0.861 0.250 0.722 Tb
0.139 0.750 0.278 Tb
0.573 0.250 0.145 Ni
0.427 0.750 0.855 Ni
```

Values from the calculation:
E_tot: -5.645 eV per atom
SG: Cmcm

***

(7)
First-principles (PBE) data for a relaxed TmNbO4 crystal, as listed in Materials Project.

Structure (POSCAR):
```
TmNbO4
1.0
-0.585 5.069 0.131
3.266 -0.133 4.149
2.956 -1.885 -5.503
Tm Nb O
2 2 8
direct
0.879 0.129 0.257 Tm
0.121 0.871 0.743 Tm
0.643 0.393 0.785 Nb
0.357 0.607 0.215 Nb
0.715 0.874 0.423 O
0.285 0.126 0.577 O
0.209 0.549 0.423 O
0.493 0.281 0.064 O
0.507 0.719 0.936 O
0.791 0.451 0.577 O
0.929 0.217 0.936 O
0.071 0.783 0.064 O
```

Values from the calculation:
E_tot: -8.855 eV per atom
SG: C2/c

***

(8)
First-principles (PBE) data for a relaxed ZnC8N6 crystal, as listed in Materials Project.

Structure (POSCAR):
```
ZnC8N6
1.0
-11.493 -5.478 1.665
9.465 -6.543 -5.697
1.625 -1.918 4.901
Zn C N
3 24 18
direct
0.000 0.000 0.941 Zn
0.333 0.667 0.867 Zn
0.667 0.333 0.867 Zn
0.000 0.646 0.244 C
0.646 0.000 0.244 C
0.354 0.354 0.244 C
0.000 0.735 0.395 C
0.735 0.000 0.395 C
0.265 0.265 0.395 C
0.106 0.655 0.158 C
0.549 0.894 0.158 C
0.345 0.451 0.158 C
0.894 0.549 0.158 C
0.655 0.106 0.158 C
0.451 0.345 0.158 C
0.676 0.677 0.728 C
0.000 0.324 0.728 C
0.324 0.000 0.728 C
0.772 0.772 0.846 C
0.000 0.228 0.846 C
0.228 0.000 0.846 C
0.571 0.680 0.680 C
0.109 0.429 0.680 C
0.320 0.891 0.680 C
0.429 0.109 0.680 C
0.680 0.571 0.680 C
0.891 0.320 0.680 C
0.000 0.810 0.518 N
0.810 0.000 0.518 N
0.190 0.190 0.518 N
0.191 0.656 0.077 N
0.465 0.809 0.077 N
0.344 0.535 0.077 N
0.809 0.465 0.077 N
0.656 0.191 0.077 N
0.535 0.344 0.077 N
0.851 0.851 0.955 N
0.000 0.149 0.955 N
0.149 0.000 0.955 N
0.482 0.683 0.646 N
0.200 0.518 0.646 N
0.317 0.800 0.646 N
0.518 0.200 0.646 N
0.683 0.482 0.646 N
0.800 0.317 0.646 N
```

Values from the calculation:
E_tot: -7.927 eV per atom
energy above the lowest structure with this stoichiometry: 12 meV per atom
SG: P31m

***

(9)
First-principles (PBE) data for a relaxed Cu3PdAu4 crystal, as listed in Materials Project.

Structure (POSCAR):
```
Cu3PdAu4
1.0
-0.669 -0.802 2.709
2.760 -0.776 0.452
3.032 13.552 4.761
Cu Pd Au
3 1 4
direct
0.500 0.500 0.254 Cu
0.500 0.500 0.500 Cu
0.500 0.500 0.746 Cu
0.500 0.500 0.000 Pd
0.000 0.000 0.865 Au
0.000 0.000 0.135 Au
0.000 0.000 0.376 Au
0.000 0.000 0.624 Au
```

Values from the calculation:
E_tot: -3.890 eV per atom
SG: P4/mmm

***

(10)
First-principles (PBE) data for a relaxed Li2TiB2O6 crystal, as listed in Materials Project.

Structure (POSCAR):
```
Li2TiB2O6
1.0
3.474 -2.410 -2.655
4.808 1.779 4.575
-3.562 -6.889 2.250
Li Ti B O
4 2 4 12
direct
0.827 0.922 0.100 Li
0.628 0.776 0.398 Li
0.372 0.224 0.602 Li
0.173 0.078 0.900 Li
0.878 0.590 0.750 Ti
0.122 0.410 0.250 Ti
0.855 0.191 0.448 B
0.673 0.346 0.113 B
0.327 0.654 0.887 B
0.145 0.809 0.552 B
0.901 0.734 0.599 O
0.785 0.536 0.218 O
0.866 0.197 0.055 O
0.743 0.329 0.600 O
0.745 0.011 0.348 O
0.600 0.687 0.909 O
0.400 0.313 0.091 O
0.255 0.989 0.652 O
0.257 0.671 0.400 O
0.134 0.803 0.945 O
0.215 0.464 0.782 O
0.099 0.266 0.401 O
```

Values from the calculation:
E_tot: -7.486 eV per atom
SG: P-1

***

(11)
First-principles (PBE) data for a relaxed LaCo5 crystal, as listed in Materials Project.

Structure (POSCAR):
```
LaCo5
1.0
0.603 4.991 0.512
-0.315 3.169 -5.579
-5.563 3.193 0.357
La Co
2 10
direct
0.032 0.000 0.000 La
0.011 0.500 0.500 La
0.673 0.320 0.320 Co
0.313 0.680 0.680 Co
0.384 0.156 0.156 Co
0.697 0.844 0.844 Co
0.519 0.258 0.742 Co
0.519 0.742 0.258 Co
0.518 0.506 0.994 Co
0.018 0.494 0.006 Co
0.018 0.006 0.494 Co
0.518 0.994 0.506 Co
```

Values from the calculation:
E_tot: -6.764 eV per atom
SG: Imm2

***

(12)
First-principles (PBE) data for a relaxed Na5InO4 crystal, as listed in Materials Project.

Structure (POSCAR):
```
Na5InO4
1.0
-7.565 -7.536 0.618
7.577 -7.682 -0.931
1.106 -0.222 10.837
Na In O
40 8 32
direct
0.103 0.119 0.661 Na
0.603 0.881 0.839 Na
0.397 0.619 0.339 Na
0.897 0.381 0.161 Na
0.897 0.881 0.339 Na
0.397 0.119 0.161 Na
0.603 0.381 0.661 Na
0.103 0.619 0.839 Na
0.643 0.887 0.103 Na
0.143 0.113 0.397 Na
0.857 0.387 0.897 Na
0.357 0.613 0.603 Na
0.357 0.113 0.897 Na
0.857 0.887 0.603 Na
0.143 0.613 0.103 Na
0.643 0.387 0.397 Na
0.595 0.624 0.147 Na
0.095 0.376 0.353 Na
0.905 0.124 0.853 Na
0.405 0.876 0.647 Na
0.405 0.376 0.853 Na
0.905 0.624 0.647 Na
0.095 0.876 0.147 Na
0.595 0.124 0.353 Na
0.666 0.106 0.617 Na
0.166 0.894 0.883 Na
0.834 0.606 0.383 Na
0.334 0.394 0.117 Na
0.334 0.894 0.383 Na
0.834 0.106 0.117 Na
0.166 0.394 0.617 Na
0.666 0.606 0.883 Na
0.132 0.850 0.618 Na
0.632 0.150 0.882 Na
0.368 0.350 0.382 Na
0.868 0.650 0.118 Na
0.868 0.150 0.382 Na
0.368 0.850 0.118 Na
0.632 0.650 0.618 Na
0.132 0.350 0.882 Na
0.885 0.352 0.622 In
0.385 0.648 0.878 In
0.615 0.852 0.378 In
0.115 0.148 0.122 In
0.115 0.648 0.378 In
0.615 0.352 0.122 In
0.385 0.148 0.622 In
0.885 0.852 0.878 In
0.510 0.747 0.988 O
0.010 0.253 0.512 O
0.990 0.247 0.012 O
0.490 0.753 0.488 O
0.490 0.253 0.012 O
0.990 0.747 0.488 O
0.010 0.753 0.988 O
0.510 0.247 0.512 O
0.238 0.515 0.456 O
0.738 0.485 0.044 O
0.262 0.015 0.544 O
0.762 0.985 0.956 O
0.762 0.485 0.544 O
0.262 0.515 0.956 O
0.738 0.985 0.456 O
0.238 0.015 0.044 O
0.768 0.252 0.743 O
0.268 0.748 0.757 O
0.732 0.752 0.257 O
0.232 0.248 0.243 O
0.232 0.748 0.257 O
0.732 0.252 0.243 O
0.268 0.248 0.743 O
0.768 0.752 0.757 O
0.999 0.457 0.744 O
0.499 0.543 0.756 O
0.501 0.957 0.256 O
0.001 0.043 0.244 O
0.001 0.543 0.256 O
0.501 0.457 0.244 O
0.499 0.043 0.744 O
0.999 0.957 0.756 O
```

Values from the calculation:
E_tot: -4.325 eV per atom
energy above the lowest structure with this stoichiometry: 0 meV per atom
SG: Pbca

***

(13)
First-principles (PBE) data for a relaxed Fe3W4N8 crystal, as listed in Materials Project.

Structure (POSCAR):
```
Fe3W4N8
1.0
-9.900 -4.249 -0.690
-8.535 -6.607 0.217
-1.767 0.752 4.616
Fe W N
3 4 8
direct
0.500 0.500 0.500 Fe
0.248 0.248 0.776 Fe
0.752 0.752 0.224 Fe
0.377 0.377 0.624 W
0.884 0.884 0.123 W
0.623 0.623 0.376 W
0.116 0.116 0.877 W
0.816 0.816 0.852 N
0.317 0.317 0.341 N
0.683 0.683 0.659 N
0.184 0.184 0.148 N
0.560 0.560 0.748 N
0.059 0.059 0.275 N
0.941 0.941 0.725 N
0.440 0.440 0.252 N
```

Values from the calculation:
E_tot: -9.828 eV per atom
SG: C2/m

***

(14)
First-principles (PBE) data for a relaxed PaAgO3 crystal, as listed in Materials Project.

Structure (POSCAR):
```
PaAgO3
1.0
-3.064 1.305 -2.793
2.004 -2.148 -3.203
-2.342 -3.546 0.913
Pa Ag O
1 1 3
direct
0.500 0.500 0.500 Pa
0.000 0.000 0.000 Ag
0.500 0.500 0.000 O
0.500 0.000 0.500 O
0.000 0.500 0.500 O
```

Values from the calculation:
E_tot: -7.864 eV per atom
SG: Pm-3m

***

Number 1: DFT formation energy -0.08 eV/atom. Number 2: DFT formation energy -0.19 eV/atom. Number 3: DFT formation energy -1.39 eV/atom. Number 4: DFT formation energy -0.74 eV/atom. Number 5: DFT formation energy 0.58 eV/atom. Number 6: DFT formation energy -0.44 eV/atom. Number 7: DFT formation energy -3.58 eV/atom. Number 8: DFT formation energy 0.27 eV/atom. Number 9: DFT formation energy -0.07 eV/atom. Number 10: DFT formation energy -2.88 eV/atom. Number 11: DFT formation energy -0.02 eV/atom. Number 12: DFT formation energy -1.68 eV/atom. Number 13: DFT formation energy -0.42 eV/atom. Number 14: DFT formation energy -2.84 eV/atom.